(1)
The following is a PBE calculation of Li2Mg after structural relaxation, from the Materials Project.

```
data_Li2Mg
_space_group_name_H-M_alt 'C m c m'
_space_group_IT_number 63
_space_group_name_Hall '-C 2c 2'
_cell_length_a 3.112
_cell_length_b 15.814
_cell_length_c 5.037
_cell_angle_alpha 90.00
_cell_angle_beta 90.00
_cell_angle_gamma 90.00
loop_
_atom_site_label
_atom_site_type_symbol
_atom_site_fract_x
_atom_site_fract_y
_atom_site_fract_z
_atom_site_occupancy
Li1 Li 0.000 0.055 0.250 1
Li2 Li 0.000 0.391 0.250 1
Mg1 Mg 0.000 0.280 0.750 1
```

(2)
The following is a PBE calculation of BaSb2 after structural relaxation, from the Materials Project.

```
data_BaSb2
_space_group_name_H-M_alt 'C 1 2/m 1'
_space_group_IT_number 12
_cell_length_a 9.442
_cell_length_b 4.855
_cell_length_c 4.937
_cell_angle_alpha 90.00
_cell_angle_beta 95.06
_cell_angle_gamma 90.00
loop_
_space_group_symop_operation_xyz
'x,y,z'
'-x,-y,-z'
'-x,y,-z'
'x,-y,z'
'x+1/2,y+1/2,z'
'-x+1/2,-y+1/2,-z'
'-x+1/2,y+1/2,-z'
'x+1/2,-y+1/2,z'
loop_
_atom_site_label
_atom_site_type_symbol
_atom_site_fract_x
_atom_site_fract_y
_atom_site_fract_z
_atom_site_occupancy
Ba1 Ba 0.000 0.000 0.000 1
Sb1 Sb 0.159 0.500 0.549 1
```

(3)
The following is a PBE calculation of Al2FeN3 after structural relaxation, from the Materials Project.

```
data_Al2FeN3
_space_group_name_H-M_alt 'C m c 21'
_space_group_IT_number 36
_cell_length_a 9.512
_cell_length_b 5.496
_cell_length_c 5.090
_cell_angle_alpha 90.00
_cell_angle_beta 90.00
_cell_angle_gamma 90.00
loop_
_space_group_symop_operation_xyz
'x,y,z'
'-x,-y,z+1/2'
'-x,y,z'
'x,-y,z+1/2'
'x+1/2,y+1/2,z'
'-x+1/2,-y+1/2,z+1/2'
'-x+1/2,y+1/2,z'
'x+1/2,-y+1/2,z+1/2'
loop_
_atom_site_label
_atom_site_type_symbol
_atom_site_fract_x
_atom_site_fract_y
_atom_site_fract_z
_atom_site_occupancy
Al1 Al 0.168 0.164 0.000 1
Fe1 Fe 0.000 0.331 0.505 1
N1 N 0.000 0.319 0.110 1
N2 N 0.173 0.161 0.625 1
```

It is found that the VASP energy values, taken in the order of the records, are -1.815; -4.045; -7.573 eV per atom.